Below is a geometry-optimized MgAlRh2 structure, with properties calculated at the PBE level.

Summary:
Mass density: 7496 kg/m3
Space group: Fm-3m, No. 225
Calculated formation energy: -0.84 eV per atom

Cell: 4.3186 4.3186 4.3186 Å, 60.00 60.00 60.00°
Positions (direct):
Rh (0.2500, 0.2500, 0.2500)
Rh (0.7500, 0.7500, 0.7500)
Mg (0.0000, 0.0000, 0.0000)
Al (0.5000, 0.5000, 0.5000)

---

Below is a geometry-optimized LiNd2O6 structure, with properties calculated at the PBE level.

Summary:
Mass density: 4945 kg/m3
Energy relative to the lowest polymorph listed for this composition: 218.8 meV/atom
Space group: C2/m, No. 12
Calculated formation energy: -2.00 eV per atom

Cell: 4.4002 6.2990 7.0730 Å, 70.66 108.12 134.31°
Positions (direct):
O (0.0417, 0.7863, 0.5109)
O (0.9583, 0.2137, 0.4891)
O (0.3461, 0.8609, 0.9702)
O (0.6539, 0.1391, 0.0298)
O (0.3332, 0.4693, 0.7278)
O (0.6668, 0.5307, 0.2722)
Nd (0.5659, 0.2473, 0.6372)
Nd (0.4341, 0.7527, 0.3628)
Li (0.5000, 0.5000, 0.0000)

---

Below is a geometry-optimized Sm2CuO4 structure, with properties calculated at the PBE level.

Summary:
Mass density: 7576 kg/m3
Space group: I4/mmm, No. 139
Calculated formation energy: -3.02 eV per atom

Cell: 3.9365 3.9365 6.6668 Å, 107.17 107.17 90.00°
Positions (direct):
O (0.2500, 0.7500, 0.5000)
O (0.0000, 0.5000, 0.0000)
O (0.5000, 0.0000, 0.0000)
O (0.7500, 0.2500, 0.5000)
Sm (0.3495, 0.3495, 0.6990)
Sm (0.6505, 0.6505, 0.3010)
Cu (0.0000, 0.0000, 0.0000)

---

Below is a geometry-optimized TeCF3 structure, with properties calculated at the PBE level.

Summary:
Mass density: 3068 kg/m3
Space group: P2_1/c, No. 14
Calculated formation energy: -1.43 eV per atom

Cell: 11.7949 7.0346 10.4483 Å, 79.15 90.00 90.00°
Positions (direct):
F (0.5097, 0.3630, 0.7888)
F (0.1227, 0.2289, 0.1887)
F (0.6227, 0.7711, 0.3113)
F (0.4270, 0.0957, 0.8884)
F (0.9270, 0.9043, 0.6116)
F (0.8660, 0.3151, 0.6106)
F (0.6809, 0.5566, 0.9535)
F (0.3773, 0.2289, 0.6887)
F (0.7632, 0.5229, 0.1454)
F (0.4903, 0.6370, 0.2112)
F (0.8773, 0.7711, 0.8113)
F (0.8191, 0.5566, 0.4535)
F (0.3191, 0.4434, 0.0465)
F (0.1340, 0.6849, 0.3894)
F (0.2368, 0.4771, 0.8546)
F (0.7368, 0.5229, 0.6454)
F (0.3660, 0.6849, 0.8894)
F (0.9903, 0.3630, 0.2888)
F (0.6340, 0.3151, 0.1106)
F (0.2632, 0.4771, 0.3546)
F (0.1809, 0.4434, 0.5465)
F (0.5730, 0.9043, 0.1116)
F (0.0097, 0.6370, 0.7112)
F (0.0730, 0.0957, 0.3884)
Te (0.6436, 0.2523, 0.4759)
Te (0.3564, 0.7477, 0.5241)
Te (0.8564, 0.2523, 0.9759)
Te (0.9031, 0.0060, 0.1998)
Te (0.0969, 0.9940, 0.8002)
Te (0.1436, 0.7477, 0.0241)
Te (0.5969, 0.0060, 0.6998)
Te (0.4031, 0.9940, 0.3002)
C (0.7228, 0.4238, 0.0545)
C (0.4673, 0.1901, 0.7713)
C (0.7772, 0.4238, 0.5545)
C (0.5327, 0.8099, 0.2287)
C (0.2228, 0.5762, 0.4455)
C (0.0327, 0.1901, 0.2713)
C (0.9673, 0.8099, 0.7287)
C (0.2772, 0.5762, 0.9455)

---

Below is a geometry-optimized V3S4 structure, with properties calculated at the PBE level.

Summary:
Mass density: 4262 kg/m3
Energy relative to the lowest polymorph listed for this composition: 252.6 meV/atom
Space group: C2/m, No. 12
Calculated formation energy: -1.05 eV per atom

Cell: 6.2998 6.2998 7.0247 Å, 57.74 57.74 28.06°
Positions (direct):
S (0.4076, 0.4076, 0.7443)
S (0.3388, 0.3388, 0.2767)
S (0.5924, 0.5924, 0.2557)
S (0.6612, 0.6612, 0.7233)
V (0.0000, 0.0000, 0.0000)
V (0.0900, 0.0900, 0.5403)
V (0.9100, 0.9100, 0.4597)

---

Below is a geometry-optimized Cs2HgCl4 structure, with properties calculated at the PBE level.

Summary:
Mass density: 3687 kg/m3
Energy relative to the lowest polymorph listed for this composition: 4.3 meV/atom
Space group: P2_12_12_1, No. 19
Calculated formation energy: -1.77 eV per atom

Cell: 7.8737 10.0388 13.8626 Å, 90.00 90.00 90.00°
Positions (direct):
Cs (0.5020, 0.1291, 0.9094)
Cs (0.4980, 0.6291, 0.5906)
Cs (0.5007, 0.2651, 0.3217)
Cs (0.0007, 0.2349, 0.6783)
Cs (0.4993, 0.7651, 0.1783)
Cs (0.9993, 0.7349, 0.8217)
Cs (0.9980, 0.8709, 0.4094)
Cs (0.0020, 0.3709, 0.0906)
Cl (0.7672, 0.9283, 0.6519)
Cl (0.0112, 0.0733, 0.9109)
Cl (0.5112, 0.4267, 0.0891)
Cl (0.2328, 0.4283, 0.8481)
Cl (0.4888, 0.9267, 0.4109)
Cl (0.9636, 0.7180, 0.0814)
Cl (0.5364, 0.2820, 0.5814)
Cl (0.7328, 0.0717, 0.1519)
Cl (0.2461, 0.0639, 0.1661)
Cl (0.7461, 0.4361, 0.8339)
Cl (0.2672, 0.5717, 0.3481)
Cl (0.2539, 0.9361, 0.6661)
Cl (0.7539, 0.5639, 0.3339)
Cl (0.9888, 0.5733, 0.5891)
Cl (0.0364, 0.2180, 0.4186)
Cl (0.4636, 0.7820, 0.9186)
Hg (0.9973, 0.9656, 0.0768)
Hg (0.5027, 0.0344, 0.5768)
Hg (0.4973, 0.5344, 0.9232)
Hg (0.0027, 0.4656, 0.4232)

---

Below is a geometry-optimized CaU2Si2O17 structure, with properties calculated at the PBE level.

Summary:
Mass density: 4011 kg/m3
Energy relative to the lowest polymorph listed for this composition: 84.8 meV/atom
Space group: P2_1/c, No. 14
Calculated formation energy: -1.94 eV per atom

Cell: 14.4836 6.8219 14.1538 Å, 88.67 90.00 90.00°
Positions (direct):
O (0.9209, 0.6992, 0.9917)
O (0.5290, 0.9587, 0.0251)
O (0.1397, 0.5378, 0.7630)
O (0.5809, 0.9763, 0.2318)
O (0.6075, 0.5463, 0.2142)
O (0.2813, 0.8018, 0.6855)
O (0.7494, 0.5592, 0.5667)
O (0.3603, 0.5378, 0.2630)
O (0.2515, 0.1608, 0.7710)
O (0.7284, 0.5627, 0.3886)
O (0.5791, 0.6992, 0.4917)
O (0.4710, 0.0413, 0.9749)
O (0.9191, 0.9763, 0.7318)
O (0.7880, 0.1998, 0.6378)
O (0.1075, 0.4537, 0.2858)
O (0.6336, 0.2303, 0.5061)
O (0.0791, 0.3008, 0.0083)
O (0.1336, 0.7697, 0.9939)
O (0.5662, 0.8356, 0.8217)
O (0.9522, 0.6964, 0.3750)
O (0.2716, 0.4373, 0.6114)
O (0.8925, 0.5463, 0.7142)
O (0.8664, 0.2303, 0.0061)
O (0.8603, 0.4622, 0.2370)
O (0.9710, 0.9587, 0.5251)
O (0.0478, 0.3036, 0.6250)
O (0.8761, 0.2694, 0.4358)
O (0.3761, 0.7306, 0.0642)
O (0.7452, 0.9196, 0.9759)
O (0.2548, 0.0804, 0.0241)
O (0.1239, 0.7306, 0.5642)
O (0.2120, 0.8002, 0.3622)
O (0.9568, 0.6969, 0.0761)
O (0.7506, 0.5592, 0.0667)
O (0.9338, 0.8356, 0.3217)
O (0.3664, 0.7697, 0.4939)
O (0.2494, 0.4408, 0.9333)
O (0.7548, 0.9196, 0.4759)
O (0.5287, 0.6479, 0.4190)
O (0.4338, 0.1644, 0.1783)
O (0.6239, 0.2694, 0.9358)
O (0.4191, 0.0237, 0.7682)
O (0.3925, 0.4537, 0.7858)
O (0.7120, 0.1998, 0.1378)
O (0.7716, 0.5627, 0.8886)
O (0.5478, 0.6964, 0.8750)
O (0.0287, 0.3521, 0.0810)
O (0.4568, 0.3031, 0.4239)
O (0.7187, 0.1982, 0.3145)
O (0.2506, 0.4408, 0.4333)
O (0.6397, 0.4622, 0.7370)
O (0.2284, 0.4373, 0.1114)
O (0.2485, 0.1608, 0.2710)
O (0.7515, 0.8392, 0.7290)
O (0.4713, 0.3521, 0.5810)
O (0.2452, 0.0804, 0.5241)
O (0.5432, 0.6969, 0.5761)
O (0.7813, 0.1982, 0.8145)
O (0.2187, 0.8018, 0.1855)
O (0.0662, 0.1644, 0.6783)
O (0.4522, 0.3036, 0.1250)
O (0.7485, 0.8392, 0.2290)
O (0.0290, 0.0413, 0.4749)
O (0.2880, 0.8002, 0.8622)
O (0.0432, 0.3031, 0.9239)
O (0.4209, 0.3008, 0.5083)
O (0.0809, 0.0237, 0.2682)
O (0.9713, 0.6479, 0.9190)
Si (0.7286, 0.6985, 0.4781)
Si (0.7714, 0.6985, 0.9781)
Si (0.6876, 0.0465, 0.2285)
Si (0.3124, 0.9535, 0.7715)
Si (0.1876, 0.9535, 0.2715)
Si (0.8124, 0.0465, 0.7285)
Si (0.2286, 0.3015, 0.0219)
Si (0.2714, 0.3015, 0.5219)
Ca (0.4795, 0.7465, 0.2038)
Ca (0.9795, 0.2535, 0.2962)
Ca (0.0205, 0.7465, 0.7038)
Ca (0.5205, 0.2535, 0.7962)
U (0.7542, 0.2414, 0.4759)
U (0.2345, 0.4855, 0.2730)
U (0.7345, 0.5145, 0.2270)
U (0.2542, 0.7586, 0.0241)
U (0.7655, 0.5145, 0.7270)
U (0.2458, 0.7586, 0.5241)
U (0.7458, 0.2414, 0.9759)
U (0.2655, 0.4855, 0.7730)

---

Below is a geometry-optimized Rb2TiHgF6 structure, with properties calculated at the PBE level.

Summary:
Mass density: 3876 kg/m3
Space group: Fm-3m, No. 225
Calculated formation energy: -3.09 eV per atom

Cell: 6.8624 6.8624 6.8624 Å, 60.00 60.00 60.00°
Positions (direct):
F (0.8049, 0.8049, 0.1951)
F (0.8049, 0.1951, 0.8049)
F (0.1951, 0.8049, 0.8049)
F (0.8049, 0.1951, 0.1951)
F (0.1951, 0.8049, 0.1951)
F (0.1951, 0.1951, 0.8049)
Ti (0.0000, 0.0000, 0.0000)
Hg (0.5000, 0.5000, 0.5000)
Rb (0.2500, 0.2500, 0.2500)
Rb (0.7500, 0.7500, 0.7500)

---

Below is a geometry-optimized Na3Sc2P3O12 structure, with properties calculated at the PBE level.

Summary:
Mass density: 2808 kg/m3
Energy relative to the lowest polymorph listed for this composition: 7.4 meV/atom
Calculated formation energy: -3.07 eV per atom

Cell: 15.7140 9.0197 9.0361 Å, 90.00 124.95 90.00°
Positions (direct):
O (0.2628, 0.1785, 0.2453)
O (0.0767, 0.1548, 0.2443)
O (0.6537, 0.1394, 0.4177)
O (0.3589, 0.8484, 0.5972)
O (0.4331, 0.5452, 0.5717)
O (0.6572, 0.9295, 0.2431)
O (0.4566, 0.8423, 0.9345)
O (0.7628, 0.3215, 0.7453)
O (0.7427, 0.8336, 0.7504)
O (0.2427, 0.3336, 0.7504)
O (0.9566, 0.3423, 0.9345)
O (0.5592, 0.5531, 0.9112)
O (0.3484, 0.9325, 0.2547)
O (0.4331, 0.4548, 0.0717)
O (0.5472, 0.8419, 0.5756)
O (0.1537, 0.6394, 0.4177)
O (0.1572, 0.4295, 0.2431)
O (0.5767, 0.6548, 0.2443)
O (0.4566, 0.1577, 0.4345)
O (0.5767, 0.3452, 0.7443)
O (0.4204, 0.6480, 0.2529)
O (0.9566, 0.6577, 0.4345)
O (0.0592, 0.0531, 0.9112)
O (0.9331, 0.0452, 0.5717)
O (0.9204, 0.1480, 0.2529)
O (0.2628, 0.8215, 0.7453)
O (0.3589, 0.1516, 0.0972)
O (0.2427, 0.6664, 0.2504)
O (0.8589, 0.3484, 0.5972)
O (0.6572, 0.0705, 0.7431)
O (0.9331, 0.9548, 0.0717)
O (0.6537, 0.8606, 0.9177)
O (0.8484, 0.4325, 0.2547)
O (0.4204, 0.3520, 0.7529)
O (0.0472, 0.3419, 0.5756)
O (0.3484, 0.0675, 0.7547)
O (0.0767, 0.8452, 0.7443)
O (0.7628, 0.6785, 0.2453)
O (0.0472, 0.6581, 0.0756)
O (0.1572, 0.5705, 0.7431)
O (0.9204, 0.8520, 0.7529)
O (0.5592, 0.4469, 0.4112)
O (0.7427, 0.1664, 0.2504)
O (0.5472, 0.1581, 0.0756)
O (0.8484, 0.5675, 0.7547)
O (0.8589, 0.6516, 0.0972)
O (0.1537, 0.3606, 0.9177)
O (0.0592, 0.9469, 0.4112)
P (0.3554, 0.8963, 0.7578)
P (0.1500, 0.6022, 0.2460)
P (0.9990, 0.9509, 0.7447)
P (0.8554, 0.3963, 0.7578)
P (0.4990, 0.5491, 0.2447)
P (0.3554, 0.1037, 0.2578)
P (0.8554, 0.6037, 0.2578)
P (0.6500, 0.1022, 0.2460)
P (0.6500, 0.8978, 0.7460)
P (0.4990, 0.4509, 0.7447)
P (0.9990, 0.0491, 0.2447)
P (0.1500, 0.3978, 0.7460)
Sc (0.8976, 0.7501, 0.9416)
Sc (0.1038, 0.7585, 0.5563)
Sc (0.3976, 0.7499, 0.4416)
Sc (0.8976, 0.2499, 0.4416)
Sc (0.6038, 0.7415, 0.0563)
Sc (0.1038, 0.2415, 0.0563)
Sc (0.6038, 0.2585, 0.5563)
Sc (0.3976, 0.2501, 0.9416)
Na (0.7444, 0.7263, 0.4976)
Na (0.0024, 0.6045, 0.7490)
Na (0.2444, 0.2263, 0.4976)
Na (0.3104, 0.5661, 0.7084)
Na (0.3104, 0.4339, 0.2084)
Na (0.2444, 0.7737, 0.9976)
Na (0.8104, 0.0661, 0.7084)
Na (0.5024, 0.8955, 0.2490)
Na (0.5024, 0.1045, 0.7490)
Na (0.0024, 0.3955, 0.2490)
Na (0.7444, 0.2737, 0.9976)
Na (0.8104, 0.9339, 0.2084)

---

Below is a geometry-optimized KTiS2 structure, with properties calculated at the PBE level.

Summary:
Mass density: 2950 kg/m3
Space group: R3m, No. 160
Calculated formation energy: -1.57 eV per atom

Cell: 3.6501 3.6501 7.6671 Å, 76.23 76.23 60.00°
Positions (direct):
S (0.4093, 0.4093, 0.7720)
S (0.6178, 0.6178, 0.1466)
Ti (0.0132, 0.0132, 0.9604)
K (0.1817, 0.1817, 0.4550)

---

Below is a geometry-optimized BaEuTiBiO6 structure, with properties calculated at the PBE level.

Summary:
Mass density: 7169 kg/m3
Energy relative to the lowest polymorph listed for this composition: 63.2 meV/atom
Space group: F-43m, No. 216
Calculated formation energy: -2.78 eV per atom

Cell: 5.9472 5.9472 5.9472 Å, 60.00 60.00 60.00°
Positions (direct):
O (0.2653, 0.2653, 0.7347)
O (0.2653, 0.7347, 0.2653)
O (0.2653, 0.7347, 0.7347)
O (0.7347, 0.2653, 0.7347)
O (0.7347, 0.7347, 0.2653)
O (0.7347, 0.2653, 0.2653)
Eu (0.2500, 0.2500, 0.2500)
Bi (0.0000, 0.0000, 0.0000)
Ti (0.5000, 0.5000, 0.5000)
Ba (0.7500, 0.7500, 0.7500)

---

Below is a geometry-optimized LiTm2Al structure, with properties calculated at the PBE level.

Summary:
Mass density: 6655 kg/m3
Space group: Fm-3m, No. 225
Calculated formation energy: -0.20 eV per atom

Cell: 5.0813 5.0813 5.0813 Å, 60.00 60.00 60.00°
Positions (direct):
Al (0.5000, 0.5000, 0.5000)
Li (0.0000, 0.0000, 0.0000)
Tm (0.7500, 0.7500, 0.7500)
Tm (0.2500, 0.2500, 0.2500)

---

Which value of calculated formation energy does entry 8 give? -3.09 eV per atom

---

The highest calculated formation energy belongs to which entry? LiTm2Al